# 1
DFT (PBE+U) results for a relaxed structure of LiMnF4.

Summary:
**VASP energy**: -5.4142 eV/atom
**Formation energy from the elements**: -2.879 eV per atom

a b c (Å): 4.9073 5.5306 10.2482
angles (deg): 90.00 91.20 90.00
Last column: nearest neighbours and their distance in Å.
Atoms (fractional coordinates):
Li 0.0000 0.0632 0.2500  6 F 1.98-2.20
Li 0.0000 0.9368 0.7500  6 F 1.98-2.20
Li 0.5000 0.4242 0.2500  6 F 2.05-2.16
Li 0.5000 0.5758 0.7500  6 F 2.05-2.16
Mn 0.0000 0.5000 0.0000  4 F 1.86-1.87
Mn 0.0000 0.5000 0.5000  4 F 1.86-1.87
Mn 0.5000 0.0000 0.0000  4 F 1.85-1.88
Mn 0.5000 0.0000 0.5000  4 F 1.85-1.88
F 0.1738 0.3439 0.3636  1 Mn 1.86, 1 Li 2.05
F 0.1738 0.6561 0.8636  1 Mn 1.86, 1 Li 2.05
F 0.2150 0.1471 0.9032  1 Mn 1.88
F 0.2150 0.8529 0.4032  1 Mn 1.88
F 0.2854 0.3873 0.6075  1 Mn 1.87, 1 Li 2.06
F 0.2854 0.6127 0.1075  1 Mn 1.87, 1 Li 2.06
F 0.3300 0.1184 0.1460  1 Mn 1.85, 1 Li 1.98
F 0.3300 0.8816 0.6460  1 Mn 1.85, 1 Li 1.98
F 0.6700 0.1184 0.3540  1 Mn 1.85, 1 Li 1.98
F 0.6700 0.8816 0.8540  1 Mn 1.85, 1 Li 1.98
F 0.7146 0.3873 0.8925  1 Mn 1.87, 1 Li 2.06
F 0.7146 0.6127 0.3925  1 Mn 1.87, 1 Li 2.06
F 0.7850 0.1471 0.5968  1 Mn 1.88
F 0.7850 0.8529 0.0968  1 Mn 1.88
F 0.8262 0.3439 0.1364  1 Mn 1.86, 1 Li 2.05
F 0.8262 0.6561 0.6364  1 Mn 1.86, 1 Li 2.05

# 2
DFT (PBE+U) results for a relaxed structure of Li2VFeP2H2O10.

Summary:
**VASP energy**: -6.6799 eV/atom
**Formation energy from the elements**: -2.367 eV per atom
**Excess energy over the best structure of this formula in the dataset**: 0.003 eV per atom

a b c (Å): 5.4361 7.4054 14.3385
angles (deg): 93.64 94.91 106.27
Last column: nearest neighbours and their distance in Å.
Atoms (fractional coordinates):
Li 0.0183 0.0915 0.4162  5 O 2.02-2.19
Li 0.3155 0.2411 0.9179  5 O 2.02-2.22
Li 0.3511 0.4260 0.7487  5 O 2.02-2.22
Li 0.6489 0.5740 0.2513  5 O 2.02-2.22
Li 0.6845 0.7589 0.0821  5 O 2.02-2.22
Li 0.9817 0.9085 0.5838  5 O 2.02-2.19
V 0.1662 0.6665 0.1670  6 O 2.01-2.06
V 0.5000 0.5000 0.5000  6 O 2.03-2.06
V 0.8338 0.3335 0.8330  6 O 2.01-2.06
Fe 0.1669 0.1666 0.1666  6 O 2.03-2.06
Fe 0.5000 0.0000 0.5000  6 O 2.00-2.07
Fe 0.8331 0.8334 0.8334  6 O 2.03-2.06
P 0.0302 0.6602 0.3927  4 O 1.54-1.56
P 0.3020 0.6740 0.9412  4 O 1.55-1.56
P 0.3649 0.9929 0.7250  4 O 1.55-1.57
P 0.6351 0.0071 0.2750  4 O 1.55-1.57
P 0.6980 0.3260 0.0588  4 O 1.55-1.56
P 0.9698 0.3398 0.6073  4 O 1.54-1.56
H 0.1049 0.8843 0.0463  1 O 1.00
H 0.2280 0.4487 0.2870  1 O 1.00
H 0.4379 0.2201 0.3801  1 O 0.99
H 0.5621 0.7799 0.6199  1 O 0.99
H 0.7720 0.5513 0.7130  1 O 1.00
H 0.8951 0.1157 0.9537  1 O 1.00
O 0.0344 0.7166 0.2903  1 P 1.55
O 0.0650 0.8886 0.1128  1 H 1.00
O 0.0764 0.8919 0.7314  1 P 1.55
O 0.1202 0.8432 0.4622  1 P 1.56
O 0.1289 0.8054 0.9247  1 P 1.55
O 0.2035 0.5302 0.4091  1 P 1.54
O 0.2098 0.4916 0.8710  1 P 1.56
O 0.2577 0.4443 0.6016  1 P 1.55
O 0.2684 0.4445 0.2206  1 H 1.00
O 0.2963 0.6151 0.0430  1 P 1.55
O 0.3739 0.0520 0.6230  1 P 1.55
O 0.3982 0.2222 0.4465  1 H 0.99
O 0.4093 0.2248 0.0652  1 P 1.55
O 0.4570 0.1750 0.7956  1 P 1.57
O 0.4619 0.1384 0.2583  1 P 1.55
O 0.5381 0.8616 0.7417  1 P 1.55
O 0.5430 0.8250 0.2044  1 P 1.57
O 0.5907 0.7752 0.9348  1 P 1.55
O 0.6018 0.7778 0.5535  1 H 0.99
O 0.6261 0.9480 0.3770  1 P 1.55
O 0.7037 0.3849 0.9570  1 P 1.55
O 0.7316 0.5555 0.7794  1 H 1.00
O 0.7423 0.5557 0.3984  1 P 1.55
O 0.7902 0.5084 0.1290  1 P 1.56
O 0.7965 0.4698 0.5909  1 P 1.54
O 0.8711 0.1946 0.0753  1 P 1.55
O 0.8798 0.1568 0.5378  1 P 1.56
O 0.9236 0.1081 0.2686  1 P 1.55
O 0.9350 0.1114 0.8872  1 H 1.00
O 0.9656 0.2834 0.7097  1 P 1.55

# 3
DFT (PBE+U) results for a relaxed structure of Na2Fe2F7.

Summary:
**VASP energy**: -5.0669 eV/atom
**Formation energy from the elements**: -2.772 eV per atom
**Excess energy over the best structure of this formula in the dataset**: 0.000 eV per atom

a b c (Å): 7.5551 7.5551 7.5551
angles (deg): 121.56 89.57 118.95
Last column: nearest neighbours and their distance in Å.
Atoms (fractional coordinates):
Na 0.2476 0.0000 0.2476  2 F 2.29
Na 0.2508 0.0000 0.7491  4 F 2.53
Na 0.2508 0.5017 0.2509  4 F 2.53
Na 0.7524 0.0000 0.7524  2 F 2.29
Fe 0.2518 0.5010 0.7508  6 F 1.93-2.01
Fe 0.7501 0.5010 0.2492  6 F 1.93-2.01
Fe 0.7509 0.0013 0.2504  6 F 2.02-2.10
Fe 0.7509 0.5004 0.7496  6 F 2.02-2.10
F 0.0692 0.7304 0.3388  1 Fe 2.01
F 0.0756 0.2436 0.4420  2 Fe 1.95-2.10
F 0.0756 0.6336 0.8321  2 Fe 1.95-2.10
F 0.1120 0.2717 0.8402  1 Fe 2.00
F 0.3915 0.7304 0.6612  1 Fe 2.01
F 0.4259 0.3680 0.6677  2 Fe 1.93-2.10
F 0.4259 0.7582 0.0579  2 Fe 1.93-2.10
F 0.4315 0.2717 0.1598  1 Fe 2.00
F 0.6438 0.1438 0.5000  2 Fe 2.02
F 0.7004 0.3680 0.9421  2 Fe 1.93-2.10
F 0.7004 0.7582 0.3323  2 Fe 1.93-2.10
F 0.8016 0.2436 0.1679  2 Fe 1.95-2.10
F 0.8015 0.6336 0.5580  2 Fe 1.95-2.10
F 0.8581 0.8581 0.0000  2 Fe 2.02

# 4
DFT (PBE+U) results for a relaxed structure of Nd2NiO4.

Summary:
**VASP energy**: -7.1929 eV/atom
**Formation energy from the elements**: -2.933 eV per atom
**Excess energy over the best structure of this formula in the dataset**: 0.046 eV per atom

a b c (Å): 6.7245 6.7245 6.7245
angles (deg): 145.75 144.81 49.92
Last column: nearest neighbours and their distance in Å.
Atoms (fractional coordinates):
Nd 0.1498 0.1498 0.0000  4 O 2.34-2.36
Nd 0.8502 0.8502 0.0000  4 O 2.34-2.36
Ni 0.5000 0.5000 0.0000  4 O 1.98-2.03
O 0.0000 0.5000 0.5000  2 Ni 2.03
O 0.2518 0.7518 0.5000  4 Nd 2.34-2.36
O 0.5000 0.0000 0.5000  2 Ni 1.98
O 0.7482 0.2482 0.5000  4 Nd 2.34-2.36